1.
Below is a geometry-optimized Th3Au4 structure, with properties calculated at the meta-GGA r2SCAN level.

Values from the calculation:
M_tot in μB per cell: 0.00

a b c (Å): 6.2849 8.2396 8.2425
angles (deg): 113.73 104.73 104.74
With the nearest neighbours (Å) after each atom.
Space group P-1 (No. 2)
Unique sites:
Th1 0.0276 0.2438 0.1238 (multiplicity 2)  7 Au 3.01-3.31
Th2 0.2842 0.3800 0.7562 (multiplicity 2)  7 Au 3.01-3.31
Th3 0.4040 0.8761 0.6202 (multiplicity 2)  7 Au 3.01-3.31
Au1 0.0000 0.5000 0.5000 (multiplicity 1)  6 Th 3.05, 2 Au 3.14
Au2 0.0706 0.0028 0.3391 (multiplicity 2)  5 Th 3.01-3.31, 3 Au 3.02-3.15
Au3 0.2314 0.6613 0.1640 (multiplicity 2)  5 Th 3.01-3.31, 3 Au 3.02-3.15
Au4 0.4320 0.1639 0.0022 (multiplicity 2)  5 Th 3.01-3.31, 3 Au 3.02-3.15
Au5 0.5000 0.5000 0.5000 (multiplicity 1)  6 Th 3.12, 2 Au 3.14

2.
Below is a geometry-optimized ThAu3 structure, with properties calculated at the meta-GGA r2SCAN level.

Values from the calculation:
M_tot in μB per cell: 0.00

a b c (Å): 7.0275 7.0275 7.0275
angles (deg): 90.00 90.00 90.00
With the nearest neighbours (Å) after each atom.
Space group Fm-3m (No. 225)
Unique sites:
Th1 0.0000 0.0000 0.0000 (multiplicity 4)  8 Au 3.04
Au1 0.0000 0.0000 0.5000 (multiplicity 4)  8 Au 3.04
Au2 0.2500 0.2500 0.2500 (multiplicity 8)  4 Th 3.04, 4 Au 3.04

The records above yield formation energy from the elements values of -741, -665 meV per atom, respectively.